No. 1
# PBE-GGA CeSb2Pd, relaxed
data_CeSb2Pd
_chemical_formula_sum 'Ce2 Sb4 Pd2'
_symmetry_space_group_name_H-M 'P 4/n m m'
_symmetry_Int_Tables_number 129
_cell_length_a 4.435
_cell_length_b 4.435
_cell_length_c 9.799
_cell_angle_alpha 90.00
_cell_angle_beta 90.00
_cell_angle_gamma 90.00
loop_
_symmetry_equiv_pos_as_xyz
'x,y,z'
'-x,-y,-z'
'-y+1/2,x,z'
'y+1/2,-x,-z'
'-x+1/2,-y+1/2,z'
'x+1/2,y+1/2,-z'
'y,-x+1/2,z'
'-y,x+1/2,-z'
'x+1/2,-y,-z'
'-x+1/2,y,z'
'-y,-x,-z'
'y,x,z'
'-x,y+1/2,-z'
'x,-y+1/2,z'
'y+1/2,x+1/2,-z'
'-y+1/2,-x+1/2,z'
loop_
_atom_site_label
_atom_site_fract_x
_atom_site_fract_y
_atom_site_fract_z
Ce1 0.250 0.250 0.244
Sb1 0.250 0.250 0.836
Sb2 0.250 0.750 0.500
Pd1 0.250 0.750 0.000
# ΔE_f in eV/atom: -0.84
# Crystal system: tetragonal

---

No. 2
# PBE-GGA CeSb2Pd2, relaxed
data_CeSb2Pd2
_chemical_formula_sum 'Ce2 Sb4 Pd4'
_symmetry_space_group_name_H-M 'P 4/n m m'
_symmetry_Int_Tables_number 129
_cell_length_a 4.674
_cell_length_b 4.674
_cell_length_c 10.471
_cell_angle_alpha 90.00
_cell_angle_beta 90.00
_cell_angle_gamma 90.00
loop_
_symmetry_equiv_pos_as_xyz
'x,y,z'
'-x,-y,-z'
'-y+1/2,x,z'
'y+1/2,-x,-z'
'-x+1/2,-y+1/2,z'
'x+1/2,y+1/2,-z'
'y,-x+1/2,z'
'-y,x+1/2,-z'
'x+1/2,-y,-z'
'-x+1/2,y,z'
'-y,-x,-z'
'y,x,z'
'-x,y+1/2,-z'
'x,-y+1/2,z'
'y+1/2,x+1/2,-z'
'-y+1/2,-x+1/2,z'
loop_
_atom_site_label
_atom_site_fract_x
_atom_site_fract_y
_atom_site_fract_z
Ce1 0.250 0.250 0.241
Sb1 0.250 0.250 0.871
Sb2 0.250 0.750 0.500
Pd1 0.250 0.250 0.625
Pd2 0.250 0.750 0.000
# M_tot in μB/f.u.: 0.81
# ΔE_f in eV/atom: -0.78
# Crystal system: tetragonal

---

No. 3
# PBE-GGA CeScPd6, relaxed
data_CeScPd6
_chemical_formula_sum 'Ce1 Sc1 Pd6'
_symmetry_space_group_name_H-M 'P 4/m m m'
_symmetry_Int_Tables_number 123
_symmetry_space_group_name_Hall '-P 4 2'
_cell_length_a 4.092
_cell_length_b 4.092
_cell_length_c 8.147
_cell_angle_alpha 90.00
_cell_angle_beta 90.00
_cell_angle_gamma 90.00
loop_
_atom_site_label
_atom_site_fract_x
_atom_site_fract_y
_atom_site_fract_z
Ce1 0.000 0.000 0.000
Sc1 0.000 0.000 0.500
Pd1 0.000 0.500 0.256
Pd2 0.500 0.500 0.000
Pd3 0.500 0.500 0.500
# ΔE_f in eV/atom: -0.86
# Crystal system: tetragonal

---

No. 4
# PBE-GGA Ce2SiPd14, relaxed
data_Ce2SiPd14
_chemical_formula_sum 'Ce4 Si2 Pd28'
_symmetry_space_group_name_H-M 'P 4/n m m'
_symmetry_Int_Tables_number 129
_cell_length_a 9.000
_cell_length_b 9.000
_cell_length_c 7.035
_cell_angle_alpha 90.00
_cell_angle_beta 90.00
_cell_angle_gamma 90.00
loop_
_symmetry_equiv_pos_as_xyz
'x,y,z'
'-x,-y,-z'
'-y+1/2,x,z'
'y+1/2,-x,-z'
'-x+1/2,-y+1/2,z'
'x+1/2,y+1/2,-z'
'y,-x+1/2,z'
'-y,x+1/2,-z'
'x+1/2,-y,-z'
'-x+1/2,y,z'
'-y,-x,-z'
'y,x,z'
'-x,y+1/2,-z'
'x,-y+1/2,z'
'y+1/2,x+1/2,-z'
'-y+1/2,-x+1/2,z'
loop_
_atom_site_label
_atom_site_fract_x
_atom_site_fract_y
_atom_site_fract_z
Ce1 0.250 0.250 0.064
Ce2 0.250 0.750 0.500
Si1 0.250 0.250 0.550
Pd1 0.000 0.000 0.000
Pd2 0.019 0.250 0.740
Pd3 0.085 0.085 0.385
Pd4 0.100 0.750 0.851
# M_tot in μB/f.u.: 0.00
# ΔE_f in eV/atom: -0.58
# Crystal system: tetragonal

---

- What is the ΔE_f in the fourth record?
  -0.58 eV/atom

---

- The lowest ΔE_f belongs to which entry?
  CeScPd6

---

- Which of these has the lowest ΔE_f?
  CeScPd6

---

- Look up the ΔE_f of the fourth one.
  -0.58 eV/atom